The following is a DFT calculation (GGA+U) of a relaxed SrCa7Ti3Mn5O24 crystal.

Summary:
- space-group type = P1, No. 1
- mass density (Mg/m³) = 4.33
- formation enthalpy at 0 K (eV/atom) = -2.883

a = 10.7659 Å, b = 10.9060 Å, c = 15.3056 Å
α = 89.99°, β = 89.99°, γ = 89.98°
Atoms (fractional coordinates):
Sr  0.0000  0.0000  0.0000
Sr  0.0049  0.9667  0.2513
Sr  0.2497  0.2231  0.2510
Sr  0.7537  0.7495  0.0007
Ca  0.0060  0.4681  0.7505
Ca  0.0058  0.4693  0.2509
Ca  0.0070  0.9614  0.7504
Ca  0.2474  0.7118  0.2509
Ca  0.2473  0.7119  0.7506
Ca  0.2488  0.2133  0.7506
Ca  0.2570  0.2605  0.9997
Ca  0.2566  0.2599  0.5019
Ca  0.2576  0.7562  0.5024
Ca  0.2585  0.7555  0.9991
Ca  0.4950  0.0071  0.9985
Ca  0.4960  0.0069  0.5030
Ca  0.4960  0.5093  0.0006
Ca  0.4964  0.5096  0.5009
Ca  0.5033  0.9626  0.7504
Ca  0.5063  0.9606  0.2511
Ca  0.5073  0.4629  0.7508
Ca  0.5069  0.4676  0.2507
Ca  0.7467  0.2173  0.7505
Ca  0.7468  0.2181  0.2510
Ca  0.7465  0.7110  0.2508
Ca  0.7469  0.7119  0.7506
Ca  0.7541  0.2604  0.5020
Ca  0.7539  0.2599  0.9995
Ca  0.7560  0.7551  0.5005
Ca  0.9977  0.5097  0.5006
Ca  0.9990  0.0052  0.5014
Ca  0.9987  0.5085  0.0010
Ti  0.0011  0.2388  0.3776
Ti  0.0020  0.2372  0.6256
Ti  0.0023  0.2389  0.8752
Ti  0.0015  0.2402  0.1245
Ti  0.2544  0.9837  0.3780
Ti  0.2559  0.9843  0.1242
Ti  0.5034  0.2373  0.3774
Ti  0.5031  0.2377  0.1242
Ti  0.7488  0.9861  0.1261
Ti  0.7500  0.9846  0.3769
Ti  0.7496  0.9868  0.8742
Ti  0.7509  0.9853  0.6257
Mn  0.0034  0.7352  0.6250
Mn  0.0040  0.7321  0.1273
Mn  0.0036  0.7333  0.3764
Mn  0.0040  0.7338  0.8742
Mn  0.2506  0.9838  0.6272
Mn  0.2523  0.9844  0.8734
Mn  0.2533  0.4894  0.1246
Mn  0.2530  0.4892  0.3773
Mn  0.2540  0.4860  0.6265
Mn  0.2542  0.4861  0.8746
Mn  0.4999  0.7345  0.8740
Mn  0.5012  0.2352  0.6273
Mn  0.5011  0.2355  0.8740
Mn  0.5018  0.7342  0.1266
Mn  0.5017  0.7341  0.6265
Mn  0.5036  0.7338  0.3760
Mn  0.7522  0.4861  0.8754
Mn  0.7518  0.4875  0.6248
Mn  0.7532  0.4876  0.3765
Mn  0.7536  0.4862  0.1262
O  0.0371  0.2283  0.5022
O  0.0370  0.2342  0.9993
O  0.0405  0.7257  0.0003
O  0.0429  0.7241  0.5010
O  0.1044  0.5893  0.3557
O  0.1046  0.5897  0.6462
O  0.1056  0.5892  0.1462
O  0.1058  0.5895  0.8549
O  0.1078  0.0894  0.6458
O  0.1095  0.0907  0.8548
O  0.1103  0.0948  0.3630
O  0.1117  0.0961  0.1395
O  0.1435  0.3505  0.1405
O  0.1433  0.3500  0.3617
O  0.1455  0.8377  0.1418
O  0.1462  0.8369  0.3591
O  0.1488  0.3442  0.6451
O  0.1490  0.3447  0.8557
O  0.1490  0.8387  0.6473
O  0.1487  0.8393  0.8548
O  0.2128  0.4764  0.5018
O  0.2133  0.4766  0.9997
O  0.2157  0.9758  0.5044
O  0.2261  0.9759  0.9973
O  0.2862  0.9885  0.2510
O  0.2920  0.4959  0.2509
O  0.2920  0.9958  0.7505
O  0.2931  0.4978  0.7506
O  0.3531  0.6331  0.1059
O  0.3542  0.1317  0.6057
O  0.3538  0.6315  0.8951
O  0.3540  0.6335  0.3965
O  0.3548  0.1323  0.8954
O  0.3548  0.6320  0.6054
O  0.3586  0.1292  0.3961
O  0.3591  0.1299  0.1059
O  0.3938  0.3828  0.1072
O  0.3937  0.3828  0.3943
O  0.3984  0.8812  0.6058
O  0.3989  0.3822  0.6048
O  0.3989  0.3821  0.8967
O  0.3988  0.8813  0.8945
O  0.4002  0.8780  0.1079
O  0.3999  0.8780  0.3951
O  0.4605  0.7456  0.7504
O  0.4606  0.2483  0.7507
O  0.4615  0.7450  0.2511
O  0.4755  0.2464  0.2508
O  0.5315  0.7244  0.0003
O  0.5377  0.2275  0.5039
O  0.5376  0.2277  0.9976
O  0.5422  0.7247  0.5011
O  0.6043  0.0931  0.6461
O  0.6036  0.0932  0.8546
O  0.6040  0.5889  0.3552
O  0.6041  0.5892  0.6465
O  0.6045  0.0924  0.1442
O  0.6052  0.0923  0.3582
O  0.6048  0.5896  0.1456
O  0.6049  0.5900  0.8556
O  0.6412  0.8408  0.8549
O  0.6418  0.8388  0.1462
O  0.6439  0.8395  0.6454
O  0.6445  0.8376  0.3564
O  0.6489  0.3398  0.6462
O  0.6489  0.3398  0.8552
O  0.6496  0.3442  0.1432
O  0.6497  0.3443  0.3585
O  0.7112  0.4765  0.5010
O  0.7123  0.4780  0.0005
O  0.7139  0.9766  0.5011
O  0.7157  0.9823  0.0003
O  0.7774  0.9961  0.2516
O  0.7867  0.9962  0.7498
O  0.7910  0.4953  0.7500
O  0.7919  0.4961  0.2515
O  0.8538  0.6327  0.3967
O  0.8541  0.6331  0.6054
O  0.8554  0.1313  0.1084
O  0.8564  0.1298  0.3954
O  0.8561  0.1312  0.8935
O  0.8572  0.1296  0.6056
O  0.8591  0.6269  0.1095
O  0.8595  0.6274  0.8912
O  0.8933  0.3832  0.1061
O  0.8929  0.8733  0.1125
O  0.8936  0.3840  0.3958
O  0.8943  0.8750  0.8881
O  0.8948  0.3832  0.6061
O  0.8945  0.3826  0.8950
O  0.8972  0.8768  0.3957
O  0.8985  0.8786  0.6065
O  0.9627  0.7376  0.2520
O  0.9634  0.7459  0.7494
O  0.9657  0.2444  0.7504
O  0.9677  0.2445  0.2511


The following is a DFT calculation (GGA+U) of a relaxed Mn3SbP4O16 crystal.

Summary:
- space-group type = Pm, No. 6
- mass density (Mg/m³) = 3.54
- formation enthalpy at 0 K (eV/atom) = -2.382

a = 5.0410 Å, b = 6.1535 Å, c = 10.0664 Å
α = 90.00°, β = 91.14°, γ = 90.00°
Atoms (fractional coordinates):
Mn  0.0000  0.0000  0.0000
Mn  0.1611  0.5000  0.4224
Mn  0.6619  0.0000  0.4957
Sb  0.5256  0.5000  0.9243
P  0.1587  0.0000  0.3144
P  0.4720  0.0000  0.8032
P  0.6810  0.5000  0.5986
P  0.9865  0.5000  0.1214
O  0.2100  0.0000  0.1644
O  0.2872  0.5000  0.1019
O  0.2992  0.1980  0.3823
O  0.2992  0.8020  0.3823
O  0.3189  0.1952  0.8688
O  0.3189  0.8048  0.8688
O  0.3765  0.5000  0.5838
O  0.4416  0.0000  0.6517
O  0.7603  0.5000  0.7480
O  0.7658  0.0000  0.8417
O  0.8106  0.3016  0.5288
O  0.8106  0.6984  0.5288
O  0.8437  0.3051  0.0467
O  0.8437  0.6949  0.0467
O  0.8551  0.0000  0.3337
O  0.9235  0.5000  0.2688


The following is a DFT calculation (GGA+U) of a relaxed Li3Mn10O20 crystal.

Summary:
- space-group type = Cm, No. 8
- mass density (Mg/m³) = 4.04
- formation enthalpy at 0 K (eV/atom) = -1.903

a = 5.8921 Å, b = 5.8921 Å, c = 24.6781 Å
α = 97.29°, β = 97.29°, γ = 59.62°
Atoms (fractional coordinates):
Li  0.0000  0.0000  0.0000
Li  0.0431  0.0431  0.1483
Li  0.1968  0.1968  0.5818
Li  0.3858  0.3858  0.1926
Li  0.5948  0.5948  0.7990
Li  0.7830  0.7830  0.3844
Mn  0.0181  0.5206  0.0722
Mn  0.1222  0.1222  0.3640
Mn  0.1221  0.6245  0.8761
Mn  0.1230  0.1230  0.8771
Mn  0.2253  0.7305  0.6598
Mn  0.3203  0.8292  0.4594
Mn  0.3252  0.3252  0.9735
Mn  0.4199  0.9177  0.2649
Mn  0.4563  0.4563  0.3396
Mn  0.5206  0.0181  0.0722
Mn  0.5213  0.5213  0.0715
Mn  0.5233  0.5233  0.5582
Mn  0.6245  0.1221  0.8761
Mn  0.7174  0.7174  0.1714
Mn  0.7282  0.7282  0.6581
Mn  0.7305  0.2253  0.6598
Mn  0.8292  0.3203  0.4594
Mn  0.8546  0.8546  0.5303
Mn  0.9177  0.4199  0.2649
Mn  0.9245  0.9245  0.7671
O  0.0146  0.4533  0.9233
O  0.0269  0.5556  0.2138
O  0.0546  0.0546  0.7030
O  0.0590  0.6045  0.6992
O  0.0869  0.0869  0.2256
O  0.1523  0.1523  0.5019
O  0.1932  0.1932  0.0241
O  0.1975  0.6396  0.0239
O  0.2183  0.6735  0.5107
O  0.2487  0.7891  0.8338
O  0.2555  0.2555  0.3125
O  0.2656  0.8088  0.3135
O  0.2750  0.2750  0.8373
O  0.3694  0.3694  0.1116
O  0.3959  0.8394  0.1176
O  0.3984  0.3984  0.6107
O  0.3977  0.8394  0.6118
O  0.4317  0.9641  0.4105
O  0.4509  0.4509  0.9230
O  0.4533  0.0146  0.9233
O  0.4849  0.4849  0.4192
O  0.5556  0.0269  0.2138
O  0.5783  0.5783  0.7011
O  0.5828  0.5828  0.2195
O  0.6045  0.0590  0.6992
O  0.6396  0.1975  0.0239
O  0.6574  0.6574  0.5064
O  0.6720  0.6720  0.0326
O  0.6735  0.2183  0.5107
O  0.7484  0.7484  0.3059
O  0.7891  0.2487  0.8338
O  0.7914  0.7914  0.8319
O  0.8088  0.2656  0.3135
O  0.8394  0.3959  0.1176
O  0.8394  0.3977  0.6118
O  0.8473  0.8473  0.1199
O  0.8794  0.8794  0.6158
O  0.9641  0.4317  0.4105
O  0.9705  0.9705  0.9178
O  0.9874  0.9874  0.4136


The following is a DFT calculation (GGA+U) of a relaxed LiVBO4 crystal.

Summary:
- space-group type = Ccc2, No. 37
- mass density (Mg/m³) = 2.56
- formation enthalpy at 0 K (eV/atom) = -2.579

a = 8.4016 Å, b = 8.4016 Å, c = 5.2000 Å
α = 90.00°, β = 90.00°, γ = 110.53°
Atoms (fractional coordinates):
Li  0.2251  0.7312  0.0000
Li  0.2688  0.7749  0.5000
Li  0.7312  0.2251  0.5000
Li  0.7749  0.2688  0.0000
V  0.1750  0.3708  0.3057
V  0.3708  0.1750  0.8057
V  0.6292  0.8250  0.8057
V  0.8250  0.6292  0.3057
B  0.0773  0.3065  0.7533
B  0.3065  0.0773  0.2533
B  0.6935  0.9227  0.2533
B  0.9227  0.6935  0.7533
O  0.0213  0.6888  0.5423
O  0.0258  0.3048  0.0006
O  0.2378  0.3088  0.6662
O  0.2660  0.5811  0.2674
O  0.3048  0.0258  0.5006
O  0.3088  0.2378  0.1662
O  0.3112  0.9787  0.0423
O  0.4189  0.7340  0.7674
O  0.5811  0.2660  0.7674
O  0.6888  0.0213  0.0423
O  0.6912  0.7622  0.1662
O  0.6952  0.9742  0.5006
O  0.7340  0.4189  0.2674
O  0.7622  0.6912  0.6662
O  0.9742  0.6952  0.0006
O  0.9787  0.3112  0.5423